[1]
ThCr2O10: optimized geometry, PBE with a Hubbard U.

Geometry as POSCAR:
```
ThCr2O10
1.0
9.544 0.000 0.000
0.000 12.892 0.000
0.000 11.590 13.236
O Cr Th
80 16 8
Direct
0.161 0.831 0.924
0.166 0.957 0.091
0.427 0.596 0.724
0.661 0.169 0.576
0.640 0.838 0.753
0.645 0.612 0.955
0.329 0.619 0.420
0.970 0.615 0.034
0.073 0.596 0.224
0.829 0.381 0.080
0.392 0.844 0.034
0.378 0.650 0.239
0.056 0.384 0.363
0.440 0.797 0.882
0.394 0.183 0.854
0.106 0.183 0.354
0.886 0.760 0.801
0.894 0.817 0.646
0.752 0.785 0.997
0.339 0.831 0.424
0.140 0.162 0.747
0.666 0.043 0.409
0.145 0.388 0.545
0.260 0.574 0.588
0.671 0.381 0.580
0.386 0.240 0.699
0.940 0.203 0.618
0.030 0.385 0.966
0.108 0.844 0.534
0.444 0.384 0.863
0.673 0.968 0.297
0.843 0.935 0.072
0.614 0.760 0.301
0.418 0.994 0.141
0.122 0.650 0.739
0.369 0.360 0.324
0.436 0.634 0.837
0.131 0.360 0.824
0.740 0.426 0.412
0.173 0.032 0.203
0.114 0.240 0.199
0.343 0.065 0.428
0.927 0.404 0.776
0.573 0.404 0.276
0.564 0.366 0.163
0.082 0.994 0.641
0.622 0.350 0.761
0.157 0.065 0.928
0.560 0.203 0.118
0.240 0.574 0.088
0.892 0.156 0.466
0.248 0.215 0.003
0.860 0.838 0.253
0.657 0.935 0.572
0.827 0.968 0.797
0.252 0.215 0.503
0.608 0.156 0.966
0.944 0.616 0.637
0.869 0.640 0.176
0.360 0.162 0.247
0.839 0.169 0.076
0.355 0.388 0.045
0.327 0.032 0.703
0.556 0.616 0.137
0.582 0.006 0.859
0.834 0.043 0.909
0.631 0.640 0.676
0.060 0.797 0.382
0.878 0.350 0.261
0.064 0.634 0.337
0.334 0.957 0.591
0.760 0.426 0.912
0.748 0.785 0.497
0.470 0.385 0.466
0.918 0.006 0.359
0.530 0.615 0.534
0.171 0.619 0.920
0.936 0.366 0.663
0.606 0.817 0.146
0.855 0.612 0.455
0.862 0.341 0.008
0.541 0.720 0.856
0.638 0.341 0.508
0.981 0.267 0.361
0.959 0.720 0.356
0.041 0.280 0.644
0.362 0.659 0.492
0.519 0.267 0.861
0.750 0.951 0.891
0.750 0.951 0.391
0.481 0.733 0.139
0.019 0.733 0.639
0.250 0.049 0.109
0.138 0.659 0.992
0.459 0.280 0.144
0.250 0.049 0.609
0.244 0.469 0.894
0.744 0.531 0.606
0.834 0.002 0.648
0.334 0.998 0.852
0.256 0.469 0.394
0.666 0.002 0.148
0.166 0.998 0.352
0.756 0.531 0.106
```

=====

[2]
TiCrO4: optimized geometry, PBE with a Hubbard U.

Geometry as POSCAR:
```
TiCrO4
1.0
-1.404 2.243 2.647
0.093 -9.390 10.663
5.524 0.332 -0.001
O Ti Cr
16 4 4
Direct
0.462 0.007 0.930
0.797 0.303 0.897
0.797 0.803 0.397
0.797 0.052 0.647
0.039 0.615 0.691
0.797 0.553 0.147
0.202 0.950 0.355
0.462 0.507 0.430
0.461 0.256 0.178
0.202 0.699 0.105
0.202 0.199 0.605
0.461 0.756 0.677
0.202 0.450 0.856
0.040 0.364 0.442
0.040 0.864 0.941
0.039 0.115 0.191
0.249 0.812 0.310
0.250 0.562 0.062
0.249 0.312 0.810
0.251 0.062 0.562
0.000 0.752 0.754
0.001 0.503 0.505
0.000 0.252 0.254
0.001 0.003 0.005
```

=====

[3]
Ti7Cr12O48: optimized geometry, PBE with a Hubbard U.

Geometry as POSCAR:
```
Ti7Cr12O48
1.0
-3.563 -1.099 -3.395
-1.666 -9.188 4.768
-11.786 7.598 10.397
Cr O Ti
12 48 7
Direct
0.203 0.756 0.943
0.210 0.475 0.653
0.263 0.252 0.445
0.269 0.527 0.154
0.794 0.525 0.343
0.785 0.978 0.346
0.206 0.022 0.657
0.721 0.025 0.847
0.787 0.247 0.059
0.734 0.479 0.842
0.271 0.973 0.160
0.735 0.752 0.554
0.404 0.103 0.711
0.567 0.895 0.121
0.618 0.488 0.427
0.054 0.366 0.468
0.679 0.755 0.647
0.052 0.901 0.385
0.946 0.866 0.532
0.062 0.506 0.079
0.917 0.384 0.795
0.046 0.608 0.368
0.060 0.222 0.995
0.680 0.887 0.801
0.317 0.255 0.351
0.440 0.103 0.879
0.118 0.117 0.467
0.109 0.882 0.703
0.078 0.997 0.069
0.454 0.769 0.497
0.876 0.115 0.302
0.129 0.626 0.209
0.567 0.003 0.419
0.920 0.990 0.928
0.956 0.108 0.634
0.305 0.382 0.201
0.126 0.613 0.698
0.120 0.753 0.845
0.439 0.639 0.973
0.091 0.874 0.204
0.689 0.619 0.789
0.883 0.382 0.295
0.879 0.614 0.533
0.557 0.588 0.121
0.429 0.501 0.580
0.359 0.381 0.710
0.942 0.398 0.614
0.879 0.241 0.152
0.542 0.270 0.502
0.919 0.751 0.012
0.310 0.117 0.204
0.633 0.889 0.286
0.582 0.107 0.033
0.892 0.119 0.797
0.898 0.522 0.929
0.465 0.409 0.864
0.381 0.989 0.572
0.417 0.894 0.969
0.631 0.377 0.029
0.600 0.608 0.291
0.744 0.915 0.035
0.094 0.259 0.252
0.925 0.747 0.752
0.715 0.433 0.524
0.286 0.930 0.476
0.257 0.080 0.973
0.737 0.573 0.019
```

=====

[4]
Ti2CrO5: optimized geometry, PBE with a Hubbard U.

Geometry as POSCAR:
```
Ti2CrO5
1.0
-5.142 -0.410 -0.661
-0.043 -8.606 5.677
-0.988 5.578 4.226
O Cr Ti
20 4 8
Direct
0.854 0.583 0.943
0.208 0.000 0.250
0.854 0.417 0.557
0.813 0.204 0.170
0.813 0.796 0.330
0.708 0.500 0.250
0.313 0.296 0.330
0.687 0.296 0.830
0.646 0.917 0.057
0.146 0.417 0.057
0.187 0.204 0.670
0.292 0.500 0.750
0.313 0.704 0.170
0.146 0.583 0.443
0.646 0.083 0.443
0.187 0.796 0.830
0.354 0.917 0.557
0.687 0.704 0.670
0.792 0.000 0.750
0.354 0.083 0.943
0.500 0.500 0.500
0.500 0.500 0.000
0.000 0.000 0.000
0.000 0.000 0.500
0.983 0.634 0.220
0.517 0.134 0.720
0.983 0.366 0.280
0.483 0.866 0.280
0.017 0.366 0.780
0.517 0.866 0.780
0.017 0.634 0.720
0.483 0.134 0.220
```

=====

[5]
TiCr7O12: optimized geometry, PBE with a Hubbard U.

Geometry as POSCAR:
```
TiCr7O12
1.0
-4.696 -0.802 1.788
-0.308 -4.632 -2.888
2.881 -3.146 6.139
O Cr Ti
12 7 1
Direct
0.699 0.500 0.750
0.802 0.001 0.749
0.850 0.650 0.399
0.149 0.652 0.906
0.650 0.150 0.401
0.193 0.994 0.249
0.297 0.502 0.251
0.151 0.350 0.600
0.349 0.851 0.599
0.657 0.844 0.100
0.853 0.350 0.100
0.349 0.150 0.900
0.500 0.200 0.650
0.999 0.300 0.849
0.501 0.799 0.351
0.500 0.200 0.151
0.000 0.699 0.650
0.999 0.301 0.350
0.501 0.802 0.848
0.000 0.705 0.147
```

=====

[6]
TiCrO4: optimized geometry, PBE with a Hubbard U.

Geometry as POSCAR:
```
TiCrO4
1.0
0.271 -4.197 3.636
-2.774 -0.026 4.818
-0.807 0.946 -5.419
O Cr Ti
4 1 1
Direct
0.961 0.461 0.500
0.798 0.798 0.000
0.202 0.202 0.000
0.539 0.039 0.500
0.000 0.000 0.000
0.750 0.250 0.500
```

=====

[7]
Tl2Cr3O12: optimized geometry, PBE with a Hubbard U.

Geometry as POSCAR:
```
Tl2Cr3O12
1.0
-3.108 5.611 -6.287
3.873 -5.009 -6.387
-10.980 -7.208 -1.005
O Tl Cr
48 8 12
Direct
0.639 0.518 0.740
0.861 0.018 0.240
0.428 0.729 0.740
0.928 0.771 0.760
0.428 0.229 0.760
0.139 0.482 0.740
0.352 0.505 0.925
0.144 0.283 0.584
0.421 0.502 0.602
0.079 0.502 0.398
0.579 0.998 0.102
0.139 0.287 0.931
0.144 0.783 0.916
0.856 0.217 0.084
0.361 0.787 0.431
0.072 0.729 0.260
0.361 0.982 0.240
0.148 0.005 0.425
0.861 0.213 0.431
0.361 0.287 0.069
0.139 0.982 0.760
0.572 0.771 0.240
0.356 0.783 0.084
0.648 0.495 0.075
0.648 0.995 0.425
0.639 0.018 0.760
0.352 0.005 0.575
0.644 0.717 0.584
0.921 0.498 0.602
0.079 0.002 0.102
0.928 0.271 0.740
0.861 0.713 0.069
0.639 0.213 0.569
0.148 0.505 0.075
0.579 0.498 0.398
0.356 0.283 0.416
0.572 0.271 0.260
0.639 0.713 0.931
0.421 0.002 0.898
0.072 0.229 0.240
0.852 0.495 0.925
0.644 0.217 0.916
0.139 0.787 0.569
0.361 0.482 0.260
0.921 0.998 0.898
0.852 0.995 0.575
0.861 0.518 0.260
0.856 0.717 0.416
0.103 0.754 0.093
0.603 0.246 0.093
0.603 0.746 0.407
0.397 0.254 0.593
0.103 0.254 0.407
0.897 0.246 0.907
0.397 0.754 0.907
0.897 0.746 0.593
0.250 0.398 0.000
0.966 0.114 0.169
0.750 0.602 0.000
0.034 0.886 0.831
0.966 0.614 0.331
0.534 0.614 0.669
0.534 0.114 0.831
0.034 0.386 0.669
0.466 0.886 0.169
0.250 0.898 0.500
0.466 0.386 0.331
0.750 0.102 0.500
```

=====

[8]
TlCrO4: optimized geometry, PBE with a Hubbard U.

Geometry as POSCAR:
```
TlCrO4
1.0
5.852 0.000 0.000
0.000 8.773 0.000
0.000 0.000 14.908
O Tl Cr
32 8 8
Direct
0.750 0.468 0.484
0.985 0.300 0.016
0.485 0.700 0.984
0.750 0.243 0.361
0.750 0.845 0.142
0.489 0.588 0.298
0.250 0.968 0.016
0.750 0.257 0.861
0.750 0.032 0.984
0.250 0.345 0.358
0.250 0.743 0.139
0.750 0.595 0.819
0.015 0.700 0.984
0.011 0.912 0.798
0.511 0.412 0.702
0.015 0.800 0.484
0.989 0.088 0.202
0.250 0.095 0.681
0.985 0.200 0.516
0.511 0.088 0.202
0.989 0.412 0.702
0.515 0.300 0.016
0.011 0.588 0.298
0.750 0.905 0.319
0.485 0.800 0.484
0.489 0.912 0.798
0.515 0.200 0.516
0.250 0.405 0.181
0.250 0.532 0.516
0.250 0.155 0.858
0.250 0.757 0.639
0.750 0.655 0.642
0.250 0.180 0.104
0.250 0.037 0.371
0.250 0.463 0.871
0.750 0.680 0.396
0.250 0.320 0.604
0.750 0.963 0.629
0.750 0.820 0.896
0.750 0.537 0.129
0.750 0.219 0.967
0.250 0.019 0.785
0.750 0.281 0.467
0.250 0.481 0.285
0.250 0.719 0.533
0.750 0.981 0.215
0.250 0.781 0.033
0.750 0.519 0.715
```

=====

[9]
TlCrO3: optimized geometry, PBE with a Hubbard U.

Geometry as POSCAR:
```
TlCrO3
1.0
0.000 0.000 5.417
5.522 0.000 0.000
0.000 7.819 0.000
O Tl Cr
12 4 4
Direct
0.697 0.301 0.442
0.803 0.801 0.442
0.697 0.301 0.058
0.394 0.949 0.250
0.303 0.699 0.942
0.894 0.551 0.750
0.606 0.051 0.750
0.106 0.449 0.250
0.803 0.801 0.058
0.197 0.199 0.942
0.197 0.199 0.558
0.303 0.699 0.558
0.014 0.954 0.750
0.486 0.454 0.750
0.986 0.046 0.250
0.514 0.546 0.250
0.500 0.000 0.500
0.000 0.500 0.000
0.000 0.500 0.500
0.500 0.000 0.000
```

=====

no.,energy of formation from the pure elements (eV per atom),DFT total energy (eV per atom)
1,-1.6596,-6.69
2,-2.6990,-8.13
3,-2.1284,-7.38
4,-3.0919,-8.69
5,-2.4602,-8.09
6,-2.7032,-8.14
7,-1.4367,-6.07
8,-1.4848,-5.99
9,-1.6954,-6.26